--- a ---
Density functional theory data (PBE-GGA) for an optimized crystal structure of Mg16Si8HO32.

Cell lengths 11.657, 5.778, 8.404 Å; angles 89.82, 90.00, 90.00 degrees
Fractional coordinates of all 57 atoms:
1 Si 0.866 0.254 0.635
2 Mg 0.500 0.750 0.783
3 Mg 0.877 0.001 0.999
4 O 0.500 0.250 0.463
5 Mg 0.123 0.499 0.999
6 O 0.372 0.013 0.757
7 Mg 0.621 0.000 0.501
8 O 0.260 0.249 0.994
9 O 0.875 0.987 0.261
10 Mg 0.500 0.250 0.217
11 Si 0.860 0.746 0.361
12 O 0.126 0.014 0.740
13 Si 0.370 0.250 0.867
14 Si 0.630 0.250 0.867
15 O 0.740 0.751 0.007
16 Mg 0.379 0.000 0.501
17 O 0.740 0.249 0.994
18 O 0.125 0.987 0.261
19 O 0.872 0.493 0.743
20 Si 0.630 0.750 0.133
21 O 0.500 0.750 0.035
22 O 0.372 0.511 0.242
23 O 0.628 0.489 0.758
24 Mg 0.252 0.248 0.249
25 Mg 0.123 0.001 0.999
26 Si 0.140 0.746 0.361
27 Mg 0.000 0.244 0.275
28 O 0.628 0.511 0.242
29 Si 0.134 0.254 0.635
30 Si 0.370 0.750 0.133
31 O 0.871 0.507 0.255
32 O 0.000 0.249 0.033
33 Mg 0.877 0.499 0.999
34 O 0.000 0.274 0.532
35 O 0.241 0.252 0.505
36 O 0.372 0.489 0.758
37 O 0.628 0.013 0.757
38 Mg 0.379 0.500 0.501
39 O 0.500 0.250 0.965
40 Mg 0.748 0.248 0.249
41 O 0.500 0.750 0.537
42 O 0.000 0.714 0.469
43 O 0.759 0.252 0.505
44 H 0.000 0.533 0.493
45 Mg 0.621 0.500 0.501
46 Mg 0.251 0.752 0.751
47 O 0.243 0.749 0.495
48 O 0.628 0.987 0.243
49 O 0.000 0.751 0.968
50 Mg 0.000 0.759 0.728
51 O 0.874 0.014 0.740
52 Mg 0.749 0.752 0.751
53 O 0.260 0.751 0.007
54 O 0.129 0.507 0.255
55 O 0.757 0.749 0.495
56 O 0.372 0.987 0.243
57 O 0.128 0.493 0.743

--- b ---
Density functional theory data (PBE-GGA) for an optimized crystal structure of Mg16Si8HO32.

Cell lengths 6.062, 9.615, 10.333 Å; angles 89.98, 90.01, 90.00 degrees
Fractional coordinates of all 57 atoms:
1 O 0.533 0.365 0.839
2 O 0.034 0.115 0.666
3 Si 0.750 0.967 0.410
4 Si 0.750 0.289 0.906
5 O 0.250 0.871 0.595
6 O 0.750 0.892 0.557
7 H 0.748 0.512 0.208
8 O 0.967 0.892 0.341
9 O 0.250 0.115 0.450
10 O 0.533 0.892 0.341
11 Si 0.250 0.541 0.597
12 O 0.750 0.119 0.909
13 O 0.970 0.390 0.342
14 O 0.250 0.888 0.093
15 O 0.750 0.865 0.057
16 Si 0.250 0.217 0.097
17 O 0.034 0.142 0.166
18 Mg 0.000 0.254 0.504
19 O 0.530 0.390 0.342
20 O 0.250 0.615 0.450
21 O 0.750 0.637 0.414
22 O 0.250 0.387 0.095
23 Si 0.250 0.718 0.095
24 O 0.035 0.645 0.166
25 Mg 0.000 0.754 0.504
26 Mg 0.500 0.503 0.002
27 O 0.467 0.115 0.666
28 O 0.750 0.360 0.054
29 O 0.967 0.864 0.841
30 Mg 0.250 0.500 0.280
31 Mg 0.500 0.254 0.504
32 O 0.750 0.393 0.555
33 Mg 0.500 0.754 0.504
34 O 0.750 0.620 0.912
35 O 0.750 0.136 0.412
36 O 0.250 0.642 0.949
37 Mg 0.000 0.503 0.002
38 Mg 0.750 0.508 0.724
39 Mg 0.750 0.007 0.726
40 O 0.466 0.615 0.666
41 O 0.467 0.142 0.166
42 Si 0.750 0.790 0.910
43 Si 0.750 0.467 0.407
44 O 0.533 0.864 0.841
45 O 0.250 0.143 0.950
46 O 0.465 0.645 0.166
47 O 0.250 0.371 0.596
48 Mg 0.250 0.757 0.780
49 Mg 0.500 0.004 0.003
50 O 0.034 0.615 0.666
51 Mg 0.750 0.750 0.227
52 Mg 0.250 0.000 0.281
53 Mg 0.000 0.004 0.003
54 Si 0.250 0.041 0.597
55 O 0.967 0.365 0.839
56 Mg 0.250 0.258 0.780
57 Mg 0.750 0.247 0.226

b ends up most stable, edging out the next structure by 0.071 eV/atom.